# 1
A plane-wave DFT calculation with PBE+U was carried out for crystalline SrMgMoO3 at its relaxed geometry.

Unit cell a=4.5069 b=4.5069 c=4.5186 alpha=99.48 beta=99.48 gamma=80.63
Positions (direct):
Sr: 0.0000 0.0000 0.0000
Mg: 0.6551 0.6551 0.3493
Mo: 0.3561 0.3561 0.6468
O: 0.3698 0.3698 0.1400
O: 0.3711 0.8620 0.6364
O: 0.8620 0.3711 0.6364

Results
Energy relative to the lowest polymorph listed for this composition (eV per formula unit): 0.00
Total energy (eV per cell): -35.14
Magnetic moment (μB per formula unit): 2.0
Formation energy from the elements (eV/atom): -1.903



# 2
A plane-wave DFT calculation with PBE+U was carried out for crystalline Li2V5O12 at its relaxed geometry.

Unit cell a=12.6671 b=9.2058 c=9.1214 alpha=90.00 beta=90.00 gamma=90.00
Positions (direct):
Li: 0.1885 0.2218 0.2281
Li: 0.1885 0.7782 0.7281
Li: 0.3115 0.2782 0.7281
Li: 0.3115 0.7218 0.2281
Li: 0.6885 0.2782 0.7719
Li: 0.6885 0.7218 0.2719
Li: 0.8115 0.2218 0.2719
Li: 0.8115 0.7782 0.7719
V: 0.0000 0.4668 0.2500
V: 0.0000 0.5332 0.7500
V: 0.1205 0.2533 0.5318
V: 0.1205 0.7467 0.0318
V: 0.1418 0.1016 0.8952
V: 0.1418 0.8984 0.3952
V: 0.3582 0.3984 0.3952
V: 0.3582 0.6016 0.8952
V: 0.3795 0.2467 0.0318
V: 0.3795 0.7533 0.5318
V: 0.5000 0.0332 0.7500
V: 0.5000 0.9668 0.2500
V: 0.6205 0.2467 0.4682
V: 0.6205 0.7533 0.9682
V: 0.6418 0.3984 0.1048
V: 0.6418 0.6016 0.6048
V: 0.8582 0.1016 0.6048
V: 0.8582 0.8984 0.1048
V: 0.8795 0.2533 0.9682
V: 0.8795 0.7467 0.4682
O: 0.0170 0.1550 0.9438
O: 0.0170 0.8450 0.4438
O: 0.0720 0.4243 0.6309
O: 0.0720 0.5757 0.1309
O: 0.0884 0.3534 0.3424
O: 0.0884 0.6466 0.8424
O: 0.1587 0.0885 0.3999
O: 0.1587 0.9115 0.8999
O: 0.1728 0.1643 0.7207
O: 0.1728 0.8357 0.2207
O: 0.2297 0.1786 0.0231
O: 0.2297 0.8214 0.5231
O: 0.2703 0.3214 0.5231
O: 0.2703 0.6786 0.0231
O: 0.3272 0.3357 0.2207
O: 0.3272 0.6643 0.7207
O: 0.3413 0.4115 0.8999
O: 0.3413 0.5885 0.3999
O: 0.4116 0.1466 0.8424
O: 0.4116 0.8534 0.3424
O: 0.4280 0.0757 0.1309
O: 0.4280 0.9243 0.6309
O: 0.4830 0.3450 0.4438
O: 0.4830 0.6550 0.9438
O: 0.5170 0.3450 0.0562
O: 0.5170 0.6550 0.5562
O: 0.5720 0.0757 0.3691
O: 0.5720 0.9243 0.8691
O: 0.5884 0.1466 0.6576
O: 0.5884 0.8534 0.1576
O: 0.6587 0.4115 0.6001
O: 0.6587 0.5885 0.1001
O: 0.6728 0.3357 0.2793
O: 0.6728 0.6643 0.7793
O: 0.7297 0.3214 0.9769
O: 0.7297 0.6786 0.4769
O: 0.7703 0.1786 0.4769
O: 0.7703 0.8214 0.9769
O: 0.8272 0.1643 0.7793
O: 0.8272 0.8357 0.2793
O: 0.8413 0.0885 0.1001
O: 0.8413 0.9115 0.6001
O: 0.9116 0.3534 0.1576
O: 0.9116 0.6466 0.6576
O: 0.9280 0.4243 0.8691
O: 0.9280 0.5757 0.3691
O: 0.9830 0.1550 0.5562
O: 0.9830 0.8450 0.0562

Results
Total energy (eV per cell): -552.85
Magnetic moment (μB per formula unit): 3.0
Formation energy from the elements (eV/atom): -2.439



# 3
A plane-wave DFT calculation with PBE+U was carried out for crystalline Na2MoO6 at its relaxed geometry.

Unit cell a=8.5923 b=10.4633 c=15.6495 alpha=90.00 beta=90.00 gamma=90.00
Positions (direct):
Na: 0.1666 0.0039 0.0561
Na: 0.1666 0.4961 0.5561
Na: 0.2166 0.5704 0.8697
Na: 0.2166 0.9296 0.3697
Na: 0.2834 0.0704 0.8697
Na: 0.2834 0.4296 0.3697
Na: 0.3334 0.5039 0.0561
Na: 0.3334 0.9961 0.5561
Na: 0.6666 0.0039 0.4439
Na: 0.6666 0.4961 0.9439
Na: 0.7166 0.5704 0.6303
Na: 0.7166 0.9296 0.1303
Na: 0.7834 0.0704 0.6303
Na: 0.7834 0.4296 0.1303
Na: 0.8334 0.5039 0.4439
Na: 0.8334 0.9961 0.9439
Mo: 0.0212 0.2050 0.4687
Mo: 0.0212 0.2950 0.9687
Mo: 0.4788 0.7050 0.4687
Mo: 0.4788 0.7950 0.9687
Mo: 0.5212 0.2050 0.0313
Mo: 0.5212 0.2950 0.5313
Mo: 0.9788 0.7050 0.0313
Mo: 0.9788 0.7950 0.5313
O: 0.0225 0.6929 0.9201
O: 0.0225 0.8071 0.4201
O: 0.0459 0.0212 0.7397
O: 0.0459 0.4788 0.2397
O: 0.0573 0.1275 0.9400
O: 0.0573 0.3725 0.4400
O: 0.1380 0.6449 0.0924
O: 0.1380 0.8551 0.5924
O: 0.1529 0.0908 0.7148
O: 0.1529 0.4092 0.2148
O: 0.1919 0.1098 0.4476
O: 0.1919 0.3902 0.9476
O: 0.3081 0.6098 0.4476
O: 0.3081 0.8902 0.9476
O: 0.3471 0.5908 0.7148
O: 0.3471 0.9092 0.2148
O: 0.3620 0.1449 0.0924
O: 0.3620 0.3551 0.5924
O: 0.4427 0.6275 0.9400
O: 0.4427 0.8725 0.4400
O: 0.4541 0.5212 0.7397
O: 0.4541 0.9788 0.2397
O: 0.4775 0.1929 0.9201
O: 0.4775 0.3071 0.4201
O: 0.5225 0.6929 0.5799
O: 0.5225 0.8071 0.0799
O: 0.5459 0.0212 0.7603
O: 0.5459 0.4788 0.2603
O: 0.5573 0.1275 0.5600
O: 0.5573 0.3725 0.0600
O: 0.6380 0.6449 0.4076
O: 0.6380 0.8551 0.9076
O: 0.6529 0.0908 0.7852
O: 0.6529 0.4092 0.2852
O: 0.6919 0.1098 0.0524
O: 0.6919 0.3902 0.5524
O: 0.8081 0.6098 0.0524
O: 0.8081 0.8902 0.5524
O: 0.8471 0.5908 0.7852
O: 0.8471 0.9092 0.2852
O: 0.8620 0.1449 0.4076
O: 0.8620 0.3551 0.9076
O: 0.9427 0.6275 0.5600
O: 0.9427 0.8725 0.0600
O: 0.9541 0.5212 0.7603
O: 0.9541 0.9788 0.2603
O: 0.9775 0.1929 0.5799
O: 0.9775 0.3071 0.0799

Results
Energy relative to the lowest polymorph listed for this composition (eV per formula unit): 0.00
Total energy (eV per cell): -412.14
Magnetic moment (μB per formula unit): 2.0
Formation energy from the elements (eV/atom): -1.390



# 4
A plane-wave DFT calculation with PBE+U was carried out for crystalline Li2Co3Se4O12 at its relaxed geometry.

Unit cell a=8.2814 b=9.3465 c=7.8668 alpha=90.00 beta=115.46 gamma=90.00
Positions (direct):
Li: 0.0993 0.1391 0.4247
Li: 0.0993 0.3609 0.9247
Li: 0.9007 0.6391 0.0753
Li: 0.9007 0.8609 0.5753
Co: 0.0000 0.0000 0.0000
Co: 0.0000 0.5000 0.5000
Co: 0.2965 0.0063 0.8286
Co: 0.2965 0.4937 0.3286
Co: 0.7035 0.5063 0.6714
Co: 0.7035 0.9937 0.1714
Se: 0.1759 0.6840 0.8747
Se: 0.1759 0.8160 0.3747
Se: 0.4012 0.1725 0.2644
Se: 0.4012 0.3275 0.7644
Se: 0.5988 0.6725 0.2356
Se: 0.5988 0.8275 0.7356
Se: 0.8241 0.1840 0.6253
Se: 0.8241 0.3160 0.1253
O: 0.0323 0.1528 0.8154
O: 0.0323 0.3472 0.3154
O: 0.1417 0.6037 0.0531
O: 0.1417 0.8963 0.5531
O: 0.1649 0.6318 0.4215
O: 0.1649 0.8682 0.9215
O: 0.2110 0.0818 0.2372
O: 0.2110 0.4182 0.7372
O: 0.3218 0.1622 0.6633
O: 0.3218 0.3378 0.1633
O: 0.4559 0.0994 0.0913
O: 0.4559 0.4006 0.5913
O: 0.5441 0.5994 0.4087
O: 0.5441 0.9006 0.9087
O: 0.6782 0.6622 0.8367
O: 0.6782 0.8378 0.3367
O: 0.7890 0.5818 0.2628
O: 0.7890 0.9182 0.7628
O: 0.8351 0.1318 0.0785
O: 0.8351 0.3682 0.5785
O: 0.8583 0.1037 0.4469
O: 0.8583 0.3963 0.9469
O: 0.9677 0.6528 0.6846
O: 0.9677 0.8472 0.1846

Results
Total energy (eV per cell): -233.82
Magnetic moment (μB per formula unit): 9.0
Formation energy from the elements (eV/atom): -1.503



# 5
A plane-wave DFT calculation with PBE+U was carried out for crystalline Li2V2P2O11 at its relaxed geometry.

Unit cell a=7.3951 b=9.8702 c=6.7567 alpha=90.00 beta=90.00 gamma=90.00
Positions (direct):
Li: 0.2058 0.1540 0.0344
Li: 0.2942 0.6540 0.9656
Li: 0.7058 0.3460 0.9656
Li: 0.7942 0.8460 0.0344
V: 0.2035 0.9879 0.4599
V: 0.2965 0.4879 0.5401
V: 0.7035 0.5121 0.5401
V: 0.7965 0.0121 0.4599
P: 0.0195 0.7265 0.7114
P: 0.4805 0.2265 0.2886
P: 0.5195 0.7735 0.2886
P: 0.9805 0.2735 0.7114
O: 0.0000 0.0000 0.2941
O: 0.0045 0.7660 0.9266
O: 0.0310 0.8459 0.5647
O: 0.1488 0.3589 0.6449
O: 0.1925 0.6347 0.6938
O: 0.2206 0.5268 0.3183
O: 0.2794 0.0268 0.6817
O: 0.3075 0.1347 0.3062
O: 0.3512 0.8589 0.3551
O: 0.4690 0.3459 0.4353
O: 0.4955 0.2660 0.0734
O: 0.5000 0.5000 0.7059
O: 0.5045 0.7340 0.0734
O: 0.5310 0.6541 0.4353
O: 0.6488 0.1411 0.3551
O: 0.6925 0.8653 0.3062
O: 0.7206 0.9732 0.6817
O: 0.7794 0.4732 0.3183
O: 0.8075 0.3653 0.6938
O: 0.8512 0.6411 0.6449
O: 0.9690 0.1541 0.5647
O: 0.9955 0.2340 0.9266

Results
Energy relative to the lowest polymorph listed for this composition (eV per formula unit): 1.22
Total energy (eV per cell): -235.65
Magnetic moment (μB per formula unit): 0.0
Formation energy from the elements (eV/atom): -2.444



# 6
A plane-wave DFT calculation with PBE+U was carried out for crystalline Li2Mn7P8O28 at its relaxed geometry.

Unit cell a=6.6720 b=6.6720 c=24.4912 alpha=90.00 beta=90.00 gamma=97.40
Positions (direct):
Li: 0.0334 0.6629 0.7985
Li: 0.3371 0.9666 0.7015
Li: 0.6629 0.0334 0.2015
Li: 0.9666 0.3371 0.2985
Mn: 0.0324 0.3301 0.6337
Mn: 0.0724 0.0724 0.5000
Mn: 0.2820 0.7180 0.2500
Mn: 0.2953 0.5762 0.8814
Mn: 0.3052 0.3052 0.0000
Mn: 0.3301 0.0324 0.3663
Mn: 0.4238 0.7047 0.6186
Mn: 0.5762 0.2953 0.1186
Mn: 0.6699 0.9676 0.8663
Mn: 0.6948 0.6948 0.5000
Mn: 0.7047 0.4238 0.3814
Mn: 0.7180 0.2820 0.7500
Mn: 0.9276 0.9276 0.0000
Mn: 0.9676 0.6699 0.1337
P: 0.0746 0.1797 0.1236
P: 0.1797 0.0746 0.8764
P: 0.1880 0.5942 0.5026
P: 0.2121 0.2963 0.7671
P: 0.2393 0.5199 0.3791
P: 0.2963 0.2121 0.2329
P: 0.4058 0.8120 0.9974
P: 0.4801 0.7607 0.1209
P: 0.5199 0.2393 0.6209
P: 0.5942 0.1880 0.4974
P: 0.7037 0.7879 0.7329
P: 0.7607 0.4801 0.8791
P: 0.7879 0.7037 0.2671
P: 0.8120 0.4058 0.0026
P: 0.8203 0.9254 0.3764
P: 0.9254 0.8203 0.6236
O: 0.0108 0.0259 0.5992
O: 0.0220 0.4267 0.3715
O: 0.0259 0.0108 0.4008
O: 0.0292 0.7424 0.5031
O: 0.0398 0.2835 0.7248
O: 0.0836 0.6717 0.6312
O: 0.1000 0.3841 0.5218
O: 0.1209 0.1366 0.8145
O: 0.1366 0.1209 0.1855
O: 0.2091 0.3956 0.2562
O: 0.2555 0.5039 0.7933
O: 0.2576 0.9708 0.9969
O: 0.2633 0.2801 0.0937
O: 0.2736 0.5923 0.4410
O: 0.2801 0.2633 0.9063
O: 0.2835 0.0398 0.2752
O: 0.2874 0.7016 0.1551
O: 0.2984 0.7126 0.3449
O: 0.3208 0.6151 0.9679
O: 0.3283 0.9164 0.8688
O: 0.3602 0.3836 0.6298
O: 0.3841 0.1000 0.4782
O: 0.3836 0.3602 0.3702
O: 0.3849 0.6792 0.5321
O: 0.3956 0.2091 0.7438
O: 0.4077 0.7264 0.0590
O: 0.4267 0.0220 0.6285
O: 0.4961 0.7445 0.7067
O: 0.5039 0.2555 0.2067
O: 0.5733 0.9780 0.1285
O: 0.5923 0.2736 0.5590
O: 0.6044 0.7909 0.2438
O: 0.6151 0.3208 0.0321
O: 0.6164 0.6398 0.8702
O: 0.6159 0.9000 0.9782
O: 0.6398 0.6164 0.1298
O: 0.6717 0.0836 0.3688
O: 0.6792 0.3849 0.4679
O: 0.7016 0.2874 0.8449
O: 0.7126 0.2984 0.6551
O: 0.7165 0.9602 0.7752
O: 0.7199 0.7367 0.4063
O: 0.7264 0.4077 0.9410
O: 0.7367 0.7199 0.5937
O: 0.7424 0.0292 0.4969
O: 0.7445 0.4961 0.2933
O: 0.7909 0.6044 0.7562
O: 0.8634 0.8791 0.6855
O: 0.8791 0.8634 0.3145
O: 0.9000 0.6159 0.0218
O: 0.9164 0.3283 0.1312
O: 0.9602 0.7165 0.2248
O: 0.9708 0.2576 0.0031
O: 0.9741 0.9892 0.9008
O: 0.9780 0.5733 0.8715
O: 0.9892 0.9741 0.0992

Results
Total energy (eV per cell): -671.00
Magnetic moment (μB per formula unit): 35.0
Formation energy from the elements (eV/atom): -2.591



# 7
A plane-wave DFT calculation with PBE+U was carried out for crystalline Li6V3P8O29 at its relaxed geometry.

Unit cell a=9.7973 b=9.8137 c=13.9041 alpha=89.84 beta=89.97 gamma=60.20
Positions (direct):
Li: 0.0000 0.0000 0.0000
Li: 0.0017 0.5630 0.4395
Li: 0.3515 0.3206 0.6174
Li: 0.4274 0.1369 0.9984
Li: 0.4376 0.5543 0.4939
Li: 0.5660 0.5662 0.9994
Li: 0.5703 0.0047 0.4967
Li: 0.6535 0.2656 0.0647
Li: 0.7564 0.4536 0.6178
Li: 0.7629 0.8987 0.1189
Li: 0.8903 0.9168 0.6185
Li: 0.9890 0.1354 0.4944
V: 0.0981 0.2335 0.3009
V: 0.1006 0.7985 0.8087
V: 0.2290 0.6641 0.3026
V: 0.2321 0.2313 0.8084
V: 0.6634 0.7950 0.3067
V: 0.6653 0.6618 0.8075
P: 0.3295 0.8983 0.4280
P: 0.3332 0.8977 0.9302
P: 0.3469 0.3198 0.3985
P: 0.3549 0.4573 0.8987
P: 0.4317 0.5514 0.7125
P: 0.4398 0.1433 0.2131
P: 0.5770 0.9986 0.7155
P: 0.5778 0.5440 0.2131
P: 0.7531 0.9142 0.8995
P: 0.7565 0.4585 0.3984
P: 0.8906 0.3156 0.8990
P: 0.8943 0.9112 0.4005
P: 0.9799 0.0042 0.2151
P: 0.9854 0.1440 0.7135
P: 0.9951 0.5678 0.1847
P: 0.9986 0.5646 0.6839
O: 0.0007 0.9795 0.7158
O: 0.0015 0.1471 0.2170
O: 0.0379 0.7456 0.3860
O: 0.0447 0.3186 0.8880
O: 0.1378 0.8513 0.2267
O: 0.1432 0.5650 0.2323
O: 0.1451 0.1335 0.7336
O: 0.1526 0.4179 0.7226
O: 0.1762 0.9106 0.8892
O: 0.1808 0.3405 0.3839
O: 0.1821 0.0493 0.3864
O: 0.1981 0.6102 0.8872
O: 0.2834 0.7112 0.7320
O: 0.2878 0.1355 0.2273
O: 0.3266 0.3145 0.8974
O: 0.3281 0.7492 0.3874
O: 0.3319 0.4834 0.4013
O: 0.3330 0.8983 0.0376
O: 0.3337 0.8978 0.5353
O: 0.3458 0.0411 0.8887
O: 0.4110 0.5719 0.2206
O: 0.4128 0.1473 0.7153
O: 0.4197 0.4774 0.6206
O: 0.4235 0.2260 0.4884
O: 0.4461 0.2230 0.1224
O: 0.4526 0.4351 0.7996
O: 0.4554 0.2336 0.3067
O: 0.4588 0.4456 0.9810
O: 0.4753 0.7419 0.8893
O: 0.4818 0.8965 0.3863
O: 0.5670 0.8491 0.7341
O: 0.5814 0.5666 0.7142
O: 0.5807 0.6993 0.2248
O: 0.5858 0.9776 0.2187
O: 0.6577 0.4564 0.1230
O: 0.6619 0.4788 0.4882
O: 0.6663 0.0019 0.9889
O: 0.6658 0.9871 0.6246
O: 0.6667 0.0222 0.8060
O: 0.6693 0.4381 0.3068
O: 0.7445 0.8967 0.4029
O: 0.7480 0.4864 0.8969
O: 0.7592 0.7571 0.8851
O: 0.7810 0.6021 0.3822
O: 0.8488 0.7207 0.2269
O: 0.8516 0.5559 0.7220
O: 0.8687 0.2396 0.8000
O: 0.8734 0.0198 0.3087
O: 0.8771 0.2250 0.9818
O: 0.8910 0.0027 0.1262
O: 0.9104 0.9891 0.4897
O: 0.9118 0.2291 0.6210
O: 0.9190 0.3097 0.4011
O: 0.9210 0.8933 0.8979
O: 0.9920 0.7180 0.7230
O: 0.9938 0.4207 0.2299
O: 0.9941 0.5747 0.0782
O: 0.9983 0.5648 0.5753

Results
Energy relative to the lowest polymorph listed for this composition (eV per formula unit): 0.11
Total energy (eV per cell): -645.70
Magnetic moment (μB per formula unit): 3.0
Formation energy from the elements (eV/atom): -2.660



The lowest total energy belongs to which entry? Li2Mn7P8O28



Which formula does entry 2 have? Li2V5O12



Look up the magnetic moment of the fourth one. 9.0 μB per formula unit